KNa2WN3: optimized geometry, PBE.

Calculated values
- corrected total energy (MP2020 scheme) (eV per atom) = -6.5651
- calculated density (g cm⁻³) = 4.291
- ΔE_f (eV per atom) = -0.605
- space group = Pca2_1
- V (Å³/f.u.) = 120.32

POSCAR file:
```
KNa2WN3
1.0
12.5218 0.0000 0.0000
0.0000 6.3096 0.0000
0.0000 0.0000 12.1835
K Na W N
8 16 8 24
Direct
0.0108 0.0594 0.0000 K
0.1986 0.3764 0.7525 K
0.3014 0.3764 0.2525 K
0.4892 0.0594 0.5000 K
0.5108 0.9406 0.0000 K
0.6986 0.6236 0.7525 K
0.8014 0.6236 0.2525 K
0.9892 0.9406 0.5000 K
0.0347 0.5422 0.1263 Na
0.0368 0.5144 0.3784 Na
0.1200 0.8461 0.7522 Na
0.2396 0.2319 0.5035 Na
0.2604 0.2319 0.0035 Na
0.3800 0.8461 0.2522 Na
0.4632 0.5144 0.8784 Na
0.4653 0.5422 0.6263 Na
0.5347 0.4578 0.1263 Na
0.5368 0.4856 0.3784 Na
0.6200 0.1539 0.7522 Na
0.7396 0.7681 0.5035 Na
0.7604 0.7681 0.0035 Na
0.8800 0.1539 0.2522 Na
0.9632 0.4856 0.8784 Na
0.9653 0.4578 0.6263 Na
0.1187 0.9756 0.2537 W
0.2494 0.7237 0.0030 W
0.2506 0.7237 0.5030 W
0.3813 0.9756 0.7537 W
0.6187 0.0244 0.2537 W
0.7494 0.2763 0.0030 W
0.7506 0.2763 0.5030 W
0.8813 0.0244 0.7537 W
0.0073 0.1708 0.7572 N
0.0848 0.2575 0.2488 N
0.1385 0.5600 0.5512 N
0.1422 0.5458 0.9562 N
0.2009 0.9054 0.1221 N
0.2040 0.9108 0.3845 N
0.2960 0.9108 0.8845 N
0.2991 0.9054 0.6221 N
0.3578 0.5458 0.4562 N
0.3615 0.5600 0.0512 N
0.4152 0.2575 0.7488 N
0.4927 0.1708 0.2572 N
0.5073 0.8292 0.7572 N
0.5848 0.7425 0.2488 N
0.6385 0.4400 0.5512 N
0.6422 0.4542 0.9562 N
0.7009 0.0946 0.1221 N
0.7040 0.0892 0.3845 N
0.7960 0.0892 0.8845 N
0.7991 0.0946 0.6221 N
0.8578 0.4542 0.4562 N
0.8615 0.4400 0.0512 N
0.9152 0.7425 0.7488 N
0.9927 0.8292 0.2572 N
```



HoMnCu4P3: optimized geometry, PBE.

Calculated values
- calculated density (g cm⁻³) = 7.355
- ΔE_f (eV per atom) = -0.465
- space group = Pnma
- V (Å³/f.u.) = 128.01

POSCAR file:
```
HoMnCu4P3
1.0
12.5243 0.0000 0.0000
0.0000 3.7718 0.0000
0.0000 0.0000 10.8391
Ho Mn Cu P
4 4 16 12
Direct
0.2075 0.2500 0.0841 Ho
0.2925 0.7500 0.5841 Ho
0.7075 0.2500 0.4159 Ho
0.7925 0.7500 0.9159 Ho
0.0219 0.7500 0.7139 Mn
0.4781 0.2500 0.2139 Mn
0.5219 0.7500 0.7861 Mn
0.9781 0.2500 0.2861 Mn
0.0058 0.7500 0.0871 Cu
0.0652 0.7500 0.4628 Cu
0.1822 0.2500 0.7859 Cu
0.1925 0.2500 0.3745 Cu
0.3075 0.7500 0.8745 Cu
0.3178 0.7500 0.2859 Cu
0.4348 0.2500 0.9628 Cu
0.4942 0.2500 0.5871 Cu
0.5058 0.7500 0.4129 Cu
0.5652 0.7500 0.0372 Cu
0.6822 0.2500 0.7141 Cu
0.6925 0.2500 0.1255 Cu
0.8075 0.7500 0.6255 Cu
0.8178 0.7500 0.2141 Cu
0.9348 0.2500 0.5372 Cu
0.9942 0.2500 0.9129 Cu
0.1171 0.7500 0.9059 P
0.1210 0.2500 0.5849 P
0.1240 0.7500 0.2578 P
0.3760 0.2500 0.7578 P
0.3790 0.7500 0.0849 P
0.3829 0.2500 0.4059 P
0.6171 0.7500 0.5941 P
0.6210 0.2500 0.9151 P
0.6240 0.7500 0.2422 P
0.8760 0.2500 0.7422 P
0.8790 0.7500 0.4151 P
0.8829 0.2500 0.0941 P
```



NbPd2: optimized geometry, PBE.

Calculated values
- calculated density (g cm⁻³) = 10.559
- ΔE_f (eV per atom) = -0.425
- space group = Immm
- V (Å³/f.u.) = 48.08

POSCAR file:
```
NbPd2
1.0
-1.4378 1.9635 4.2579
1.4378 -1.9635 4.2579
1.4378 1.9635 -4.2579
Nb Pd
1 2
Direct
0.0000 0.0000 0.0000 Nb
0.3342 0.3342 0.0000 Pd
0.6658 0.6658 0.0000 Pd
```



Mo3WSe8: optimized geometry, PBE.

Calculated values
- corrected total energy (MP2020 scheme) (eV per atom) = -7.0798
- calculated density (g cm⁻³) = 5.063
- ΔE_f (eV per atom) = -0.958
- space group = P3m1
- V (Å³/f.u.) = 361.86

POSCAR file:
```
Mo3WSe8
1.0
3.3237 0.0000 0.0000
-1.6618 2.8784 0.0000
0.0000 0.0000 37.8249
Mo W Se
3 1 8
Direct
0.0000 0.0000 0.0000 Mo
0.0000 0.0000 0.3757 Mo
0.3333 0.6667 0.1879 Mo
0.3333 0.6667 0.5636 W
0.0000 0.0000 0.1436 Se
0.0000 0.0000 0.2322 Se
0.0000 0.0000 0.5191 Se
0.0000 0.0000 0.6081 Se
0.3333 0.6667 0.0443 Se
0.3333 0.6667 0.3314 Se
0.3333 0.6667 0.4200 Se
0.3333 0.6667 0.9557 Se
```



NdCrSb3: optimized geometry, PBE.

Calculated values
- corrected total energy (MP2020 scheme) (eV per atom) = -5.9313
- calculated density (g cm⁻³) = 7.424
- ΔE_f (eV per atom) = -0.570
- space group = Pbcm
- V (Å³/f.u.) = 125.60

POSCAR file:
```
NdCrSb3
1.0
13.1784 0.0000 0.0000
0.0000 6.2403 0.0000
0.0000 0.0000 6.1093
Nd Cr Sb
4 4 12
Direct
0.1921 0.0049 0.2500 Nd
0.1921 0.4951 0.7500 Nd
0.8079 0.5049 0.2500 Nd
0.8079 0.9951 0.7500 Nd
0.4069 0.7500 0.0000 Cr
0.4069 0.7500 0.5000 Cr
0.5931 0.2500 0.0000 Cr
0.5931 0.2500 0.5000 Cr
0.0014 0.7500 0.0000 Sb
0.0014 0.7500 0.5000 Sb
0.2812 0.0011 0.7500 Sb
0.2812 0.4989 0.2500 Sb
0.4382 0.0997 0.2500 Sb
0.4382 0.4003 0.7500 Sb
0.5618 0.5997 0.2500 Sb
0.5618 0.9003 0.7500 Sb
0.7188 0.5011 0.7500 Sb
0.7188 0.9989 0.2500 Sb
0.9986 0.2500 0.0000 Sb
0.9986 0.2500 0.5000 Sb
```



LiNb2Te4Cl10O: optimized geometry, PBE.

Calculated values
- corrected total energy (MP2020 scheme) (eV per atom) = -4.3390
- calculated density (g cm⁻³) = 3.095
- ΔE_f (eV per atom) = -1.110
- space group = P1
- V (Å³/f.u.) = 576.11

POSCAR file:
```
LiNb2Te4Cl10O
1.0
7.0005 0.0000 0.0000
2.4098 8.8624 0.0000
0.0542 1.5003 9.2861
Li Nb Te Cl O
1 2 4 10 1
Direct
0.0000 0.0000 0.0000 Li
0.0803 0.3982 0.7772 Nb
0.1184 0.6486 0.0624 Nb
0.4056 0.1252 0.2638 Te
0.5081 0.8451 0.4358 Te
0.6757 0.2191 0.4149 Te
0.7765 0.9387 0.5882 Te
0.0425 0.2175 0.6258 Cl
0.1394 0.8523 0.2268 Cl
0.2119 0.5477 0.6011 Cl
0.2429 0.8217 0.8839 Cl
0.3942 0.2383 0.8553 Cl
0.4461 0.5143 0.1443 Cl
0.7516 0.5569 0.7056 Cl
0.7931 0.8262 0.9985 Cl
0.9214 0.2631 0.9735 Cl
0.9798 0.5199 0.2519 Cl
0.0973 0.5280 0.9254 O
```



LaFe5H12: optimized geometry, PBE.

Calculated values
- corrected total energy (MP2020 scheme) (eV per atom) = -5.0677
- calculated density (g cm⁻³) = 5.825
- ΔE_f (eV per atom) = -0.179
- space group = P6/mmm
- V (Å³/f.u.) = 122.64

POSCAR file:
```
LaFe5H12
1.0
5.7571 0.0000 0.0000
-2.8786 4.9858 0.0000
0.0000 0.0000 4.2726
La Fe H
1 5 12
Direct
0.0000 0.0000 0.0000 La
0.0000 0.5000 0.5000 Fe
0.3333 0.6667 0.0000 Fe
0.5000 0.0000 0.5000 Fe
0.5000 0.5000 0.5000 Fe
0.6667 0.3333 0.0000 Fe
0.2125 0.4250 0.2621 H
0.2125 0.4250 0.7379 H
0.2125 0.7875 0.2621 H
0.2125 0.7875 0.7379 H
0.4250 0.2125 0.2621 H
0.4250 0.2125 0.7379 H
0.5750 0.7875 0.2621 H
0.5750 0.7875 0.7379 H
0.7875 0.2125 0.2621 H
0.7875 0.2125 0.7379 H
0.7875 0.5750 0.2621 H
0.7875 0.5750 0.7379 H
```



Ba3Al2Sn2: optimized geometry, PBE.

Calculated values
- calculated density (g cm⁻³) = 4.584
- ΔE_f (eV per atom) = -0.520
- space group = Immm
- V (Å³/f.u.) = 254.77

POSCAR file:
```
Ba3Al2Sn2
1.0
-2.3146 2.6398 10.4243
2.3146 -2.6398 10.4243
2.3146 2.6398 -10.4243
Ba Al Sn
3 2 2
Direct
0.0000 0.0000 0.0000 Ba
0.1817 0.6817 0.5000 Ba
0.8183 0.3183 0.5000 Ba
0.4386 0.4386 0.0000 Al
0.5614 0.5614 0.0000 Al
0.3641 0.8641 0.5000 Sn
0.6359 0.1359 0.5000 Sn
```



Eu2MgTi2O6: optimized geometry, PBE.

Calculated values
- corrected total energy (MP2020 scheme) (eV per atom) = -9.0527
- calculated density (g cm⁻³) = 6.082
- ΔE_f (eV per atom) = -2.908
- space group = C2/m
- V (Å³/f.u.) = 141.96

POSCAR file:
```
Eu2MgTi2O6
1.0
4.0353 -4.0111 0.0000
4.0353 4.0111 0.0000
-3.8528 0.0000 4.3851
Eu Mg Ti O
2 1 2 6
Direct
0.1492 0.1492 0.3624 Eu
0.8508 0.8508 0.6376 Eu
0.5000 0.5000 0.0000 Mg
0.0000 0.5000 0.0000 Ti
0.5000 0.0000 0.0000 Ti
0.2134 0.7866 0.5000 O
0.2519 0.7481 0.0000 O
0.2730 0.2730 0.0439 O
0.7270 0.7270 0.9561 O
0.7481 0.2519 0.0000 O
0.7866 0.2134 0.5000 O
```



RbLiAgO2: optimized geometry, PBE.

Calculated values
- corrected total energy (MP2020 scheme) (eV per atom) = -4.1123
- calculated density (g cm⁻³) = 3.539
- ΔE_f (eV per atom) = -0.989
- space group = Pmm2
- V (Å³/f.u.) = 108.98

POSCAR file:
```
RbLiAgO2
1.0
3.3954 0.0000 0.0000
0.0000 5.8979 0.0000
0.0000 0.0000 5.4417
Rb Li Ag O
1 1 1 2
Direct
0.0000 0.0000 0.0000 Rb
0.5000 0.0000 0.4578 Li
0.0000 0.5000 0.3313 Ag
0.5000 0.2673 0.3135 O
0.5000 0.7327 0.3135 O
```



NaErGeO4: optimized geometry, PBE.

Calculated values
- corrected total energy (MP2020 scheme) (eV per atom) = -7.2186
- calculated density (g cm⁻³) = 5.531
- ΔE_f (eV per atom) = -2.889
- space group = Pnma
- V (Å³/f.u.) = 98.14

POSCAR file:
```
NaErGeO4
1.0
11.4394 0.0000 0.0000
0.0000 6.4584 0.0000
0.0000 0.0000 5.3133
Na Er Ge O
4 4 4 16
Direct
0.0000 0.0000 0.0000 Na
0.0000 0.5000 0.0000 Na
0.5000 0.0000 0.5000 Na
0.5000 0.5000 0.5000 Na
0.2229 0.2500 0.4947 Er
0.2771 0.7500 0.9947 Er
0.7229 0.2500 0.0053 Er
0.7771 0.7500 0.5053 Er
0.0981 0.7500 0.5526 Ge
0.4019 0.2500 0.0526 Ge
0.5981 0.7500 0.9474 Ge
0.9019 0.2500 0.4474 Ge
0.0460 0.2500 0.3293 O
0.1118 0.7500 0.2254 O
0.1755 0.5414 0.7078 O
0.1755 0.9586 0.7078 O
0.3245 0.0414 0.2078 O
0.3245 0.4586 0.2078 O
0.3882 0.2500 0.7254 O
0.4540 0.7500 0.8293 O
0.5460 0.2500 0.1707 O
0.6118 0.7500 0.2746 O
0.6755 0.5414 0.7922 O
0.6755 0.9586 0.7922 O
0.8245 0.0414 0.2922 O
0.8245 0.4586 0.2922 O
0.8882 0.2500 0.7746 O
0.9540 0.7500 0.6707 O
```



Na2ZnGe2H4O8: optimized geometry, PBE.

Calculated values
- corrected total energy (MP2020 scheme) (eV per atom) = -5.7116
- calculated density (g cm⁻³) = 3.351
- ΔE_f (eV per atom) = -1.811
- space group = Pbcn
- V (Å³/f.u.) = 192.61

POSCAR file:
```
Na2ZnGe2H4O8
1.0
13.2630 0.0000 0.0000
0.0000 8.8387 0.0000
0.0000 0.0000 13.1445
Na Zn Ge H O
16 8 16 32 64
Direct
0.0000 0.0000 0.0000 Na
0.0000 0.0000 0.5000 Na
0.0000 0.4944 0.2500 Na
0.0000 0.5056 0.7500 Na
0.1472 0.2557 0.6256 Na
0.1472 0.7443 0.1256 Na
0.3528 0.2443 0.1256 Na
0.3528 0.7557 0.6256 Na
0.5000 0.0056 0.7500 Na
0.5000 0.5000 0.0000 Na
0.5000 0.5000 0.5000 Na
0.5000 0.9944 0.2500 Na
0.6472 0.2443 0.3744 Na
0.6472 0.7557 0.8744 Na
0.8528 0.2557 0.8744 Na
0.8528 0.7443 0.3744 Na
0.2487 0.3762 0.3729 Zn
0.2487 0.6238 0.8729 Zn
0.2513 0.1238 0.8729 Zn
0.2513 0.8762 0.3729 Zn
0.7487 0.1238 0.6271 Zn
0.7487 0.8762 0.1271 Zn
0.7513 0.3762 0.1271 Zn
0.7513 0.6238 0.6271 Zn
0.1207 0.1204 0.2477 Ge
0.1207 0.8796 0.7477 Ge
0.1225 0.3740 0.9993 Ge
0.1225 0.6260 0.4993 Ge
0.3775 0.1260 0.4993 Ge
0.3775 0.8740 0.9993 Ge
0.3793 0.3796 0.7477 Ge
0.3793 0.6204 0.2477 Ge
0.6207 0.3796 0.7523 Ge
0.6207 0.6204 0.2523 Ge
0.6225 0.1260 0.0007 Ge
0.6225 0.8740 0.5007 Ge
0.8775 0.3740 0.5007 Ge
0.8775 0.6260 0.0007 Ge
0.8793 0.1204 0.2523 Ge
0.8793 0.8796 0.7523 Ge
0.0448 0.1538 0.7908 H
0.0448 0.8462 0.2908 H
0.0460 0.3495 0.4579 H
0.0460 0.6505 0.9579 H
0.1692 0.0905 0.0795 H
0.1692 0.9095 0.5795 H
0.1705 0.4028 0.1673 H
0.1705 0.5972 0.6673 H
0.3295 0.0972 0.6673 H
0.3295 0.9028 0.1673 H
0.3308 0.4095 0.5795 H
0.3308 0.5905 0.0795 H
0.4540 0.1505 0.9579 H
0.4540 0.8495 0.4579 H
0.4552 0.3462 0.2908 H
0.4552 0.6538 0.7908 H
0.5448 0.3462 0.2092 H
0.5448 0.6538 0.7092 H
0.5460 0.1505 0.5421 H
0.5460 0.8495 0.0421 H
0.6692 0.4095 0.9205 H
0.6692 0.5905 0.4205 H
0.6705 0.0972 0.8327 H
0.6705 0.9028 0.3327 H
0.8295 0.4028 0.3327 H
0.8295 0.5972 0.8327 H
0.8308 0.0905 0.4205 H
0.8308 0.9095 0.9205 H
0.9540 0.3495 0.0421 H
0.9540 0.6505 0.5421 H
0.9552 0.1538 0.7092 H
0.9552 0.8462 0.2092 H
0.0000 0.2148 0.2500 O
0.0000 0.2228 0.7500 O
0.0000 0.7772 0.2500 O
0.0000 0.7852 0.7500 O
0.0006 0.2837 0.5006 O
0.0006 0.7163 0.0006 O
0.1228 0.0170 0.8438 O
0.1230 0.4887 0.4030 O
0.1230 0.5113 0.9030 O
0.1228 0.9830 0.3438 O
0.1316 0.0213 0.1267 O
0.1324 0.4722 0.1207 O
0.1324 0.5278 0.6207 O
0.1316 0.9787 0.6267 O
0.2143 0.2606 0.2482 O
0.2143 0.7394 0.7482 O
0.2157 0.2332 0.9996 O
0.2157 0.7668 0.4996 O
0.2843 0.2668 0.4996 O
0.2843 0.7332 0.9996 O
0.2857 0.2394 0.7482 O
0.2857 0.7606 0.2482 O
0.3676 0.0278 0.6207 O
0.3684 0.4787 0.6267 O
0.3684 0.5213 0.1267 O
0.3676 0.9722 0.1207 O
0.3770 0.0113 0.9030 O
0.3772 0.4830 0.3438 O
0.3772 0.5170 0.8438 O
0.3770 0.9887 0.4030 O
0.4994 0.2163 0.0006 O
0.4994 0.7837 0.5006 O
0.5000 0.2772 0.2500 O
0.5000 0.2852 0.7500 O
0.5000 0.7148 0.2500 O
0.5000 0.7228 0.7500 O
0.5006 0.2163 0.4994 O
0.5006 0.7837 0.9994 O
0.6230 0.0113 0.5970 O
0.6228 0.4830 0.1562 O
0.6228 0.5170 0.6562 O
0.6230 0.9887 0.0970 O
0.6324 0.0278 0.8793 O
0.6315 0.4787 0.8733 O
0.6315 0.5213 0.3733 O
0.6324 0.9722 0.3793 O
0.7143 0.2394 0.7518 O
0.7143 0.7606 0.2518 O
0.7157 0.2668 0.0004 O
0.7157 0.7332 0.5004 O
0.7843 0.2332 0.5004 O
0.7843 0.7668 0.0004 O
0.7857 0.2606 0.2518 O
0.7857 0.7394 0.7518 O
0.8684 0.0213 0.3733 O
0.8676 0.4722 0.3793 O
0.8676 0.5278 0.8793 O
0.8684 0.9787 0.8733 O
0.8772 0.0170 0.6562 O
0.8770 0.4887 0.0970 O
0.8770 0.5113 0.5970 O
0.8772 0.9830 0.1562 O
0.9994 0.2837 0.9994 O
0.9994 0.7163 0.4994 O
```